No. 1
VASP calculation (r²SCAN) on a geometry-optimized LiBeAs structure.

Formation enthalpy at 0 K ... -1.77 eV per formula unit
M_tot ... 0.00 μB per atom
Total energy ... -46.4 eV/cell

Cell lengths 3.7366, 3.7366, 6.1651 Å; angles 90.00, 90.00, 90.00 degrees
With the nearest neighbours (Å) after each atom.
Space group P4/nmm (No. 129, origin choice 2)
Unique sites:
1 Li 0.2500 0.2500 0.1531 (multiplicity 2)  5 As 2.65-2.75, 4 Be 2.84
2 Be 0.2500 0.7500 0.5000 (multiplicity 2)  4 As 2.32
3 As 0.2500 0.2500 0.7235 (multiplicity 2)  4 Be 2.32

***

No. 2
VASP calculation (r²SCAN) on a geometry-optimized Tb5Bi3 structure.

Formation enthalpy at 0 K ... -6.75 eV per formula unit
M_tot ... 0.06 μB per atom
Total energy ... -1353.5 eV/cell

Cell lengths 12.1202, 9.4920, 8.3031 Å; angles 90.00, 90.00, 90.00 degrees
With the nearest neighbours (Å) after each atom.
Space group Pnma (No. 62)
Unique sites:
1 Tb 0.0046 0.2500 0.0218 (multiplicity 4)  5 Bi 3.17-3.24, 2 Tb 3.37
2 Tb 0.0654 0.0616 0.6896 (multiplicity 8)  4 Bi 3.09-3.44, 1 Tb 3.37
3 Tb 0.2092 0.7500 0.3413 (multiplicity 4)  5 Bi 3.07-3.37
4 Tb 0.2263 0.2500 0.3299 (multiplicity 4)  5 Bi 3.13-3.36
5 Bi 0.0275 0.7500 0.5992 (multiplicity 4)  7 Tb 3.07-3.20
6 Bi 0.1747 0.5077 0.0632 (multiplicity 8)  9 Tb 3.22-3.60